Entry 1:
This record from the Materials Project database describes a relaxed structure of MnGa2S4. The functional is PBE-GGA.

Output
Space group: I-4 (82)
Maximum piezoelectric response, C/m²: 0.164
Raw total energy, Ha/atom: -0.1912
Energy with MP2020 corrections, eV/atom: -5.49
Formation energy, eV/atom: -0.9512

extended XYZ file:
```
7
Lattice="3.2144 0.2756 5.6213 -3.8645 -2.5748 4.5214 1.8336 -2.3298 -5.7634" Properties=species:S:1:pos:R:3 pbc="T T T"
Mn -0.3250 -1.1496 5.0713
Ga 0.0000 0.0000 0.0000
Ga -1.1779 -3.0271 1.9147
S 0.5588 -2.6352 3.3861
S 0.7954 -1.3903 -1.6693
S 3.2411 -3.0260 0.9268
S -2.2282 -2.2066 6.1148
```

***

Entry 2:
This record from the Materials Project database describes a relaxed structure of Bi8Pt5I3. The functional is PBE-GGA.

Output
Space group: C2/m (12)
Raw total energy, Ha/atom: -0.1625
Size of the total moment, μB/atom: 0.000
Energy with MP2020 corrections, eV/atom: -4.49
Formation energy, eV/atom: -0.3643

extended XYZ file:
```
16
Lattice="2.0044 9.3145 0.0000 -2.0044 9.3145 0.0000 0.0000 5.2834 12.6275" Properties=species:S:1:pos:R:3 pbc="T T T"
Bi 0.0000 19.2217 6.0456
Bi 0.0000 4.6907 6.5818
Bi 0.0000 9.9076 9.1972
Bi 0.0000 14.0047 3.4303
Bi 0.0000 13.1308 9.8733
Bi 0.0000 10.7816 2.7541
Bi 0.0000 17.8560 12.2893
Bi 0.0000 6.0564 0.3382
Pt 0.0000 11.9562 6.3137
Pt 0.0000 21.1127 8.3078
Pt 0.0000 2.7997 4.3197
Pt 0.0000 20.3969 11.0108
Pt 0.0000 3.5155 1.6167
I 0.0000 0.0000 0.0000
I 0.0000 16.3034 8.4998
I 0.0000 7.6089 4.1277
```

***

Entry 3:
This record from the Materials Project database describes a relaxed structure of Rb2LaNb2ClO7. The functional is PBE-GGA.

Output
Space group: P4/mmm (123)
Raw total energy, Ha/atom: -0.2759
Size of the total moment, μB/atom: 0.002
Energy with MP2020 corrections, eV/atom: -7.88
Formation energy, eV/atom: -2.9874

extended XYZ file:
```
13
Lattice="3.9290 0.0000 0.0000 0.0000 3.9290 0.0000 0.0000 0.0000 15.1854" Properties=species:S:1:pos:R:3 pbc="T T T"
Rb 1.9645 1.9645 5.5645
Rb 1.9645 1.9645 9.6209
La 1.9645 1.9645 0.0000
Nb 0.0000 0.0000 2.3222
Nb 0.0000 0.0000 12.8633
Cl 0.0000 0.0000 7.5927
O 0.0000 1.9645 1.8837
O 0.0000 1.9645 13.3017
O 1.9645 0.0000 1.8837
O 1.9645 0.0000 13.3017
O 0.0000 0.0000 4.1310
O 0.0000 0.0000 11.0544
O 0.0000 0.0000 0.0000
```

***

Entry 4:
This record from the Materials Project database describes a relaxed structure of Mg14AlCO16. The functional is PBE-GGA.

Output
Relative energy among the computed polymorphs, kJ/mol of atoms: 3.2
Space group: P4/mmm (123)
Raw total energy, Ha/atom: -0.2185
Size of the total moment, μB/atom: 0.031
Energy with MP2020 corrections, eV/atom: -6.29
Formation energy, eV/atom: -2.7104

extended XYZ file:
```
32
Lattice="8.5632 0.0000 0.0000 0.0000 8.5632 0.0000 0.0000 0.0000 4.2012" Properties=species:S:1:pos:R:3 pbc="T T T"
Mg 4.2816 0.0000 0.0000
Mg 0.0000 4.2816 0.0000
Mg 2.1610 0.0000 2.1006
Mg 6.4022 0.0000 2.1006
Mg 2.1859 4.2816 2.1006
Mg 6.3772 4.2816 2.1006
Mg 0.0000 2.1610 2.1006
Mg 4.2816 2.1859 2.1006
Mg 0.0000 6.4022 2.1006
Mg 4.2816 6.3772 2.1006
Mg 2.1991 2.1991 0.0000
Mg 6.3641 2.1991 0.0000
Mg 2.1991 6.3641 0.0000
Mg 6.3641 6.3641 0.0000
Al 0.0000 0.0000 0.0000
C 4.2816 4.2816 0.0000
O 0.0000 1.9526 0.0000
O 4.2816 1.9619 0.0000
O 0.0000 6.6106 0.0000
O 4.2816 6.6013 0.0000
O 2.1444 2.1444 2.1006
O 6.4188 2.1444 2.1006
O 2.1444 6.4188 2.1006
O 6.4188 6.4188 2.1006
O 0.0000 0.0000 2.1006
O 4.2816 0.0000 2.1006
O 0.0000 4.2816 2.1006
O 4.2816 4.2816 2.1006
O 1.9526 0.0000 0.0000
O 6.6106 0.0000 0.0000
O 1.9619 4.2816 0.0000
O 6.6013 4.2816 0.0000
```

***

Entry 5:
This record from the Materials Project database describes a relaxed structure of Ti2Nb2Si3S3O24. The functional is PBE-GGA.

Output
Space group: P1 (1)
Raw total energy, Ha/atom: -0.2800
Size of the total moment, μB/atom: 0.000
Energy with MP2020 corrections, eV/atom: -8.10
Formation energy, eV/atom: -2.7098

extended XYZ file:
```
102
Lattice="-3.5868 -3.8268 7.0760 -3.9477 -0.7062 -7.8490 11.8773 -18.8820 -4.3244" Properties=species:S:1:pos:R:3 pbc="T T T"
Ti 0.6585 -10.5388 5.3296
Ti 9.9808 -16.1880 -3.6992
Ti 4.4656 -15.8688 -0.9155
Ti -1.6203 -6.3691 1.2769
Ti -3.4670 -2.1385 -3.0909
Ti 2.3730 -11.8160 -5.0774
Nb 4.0444 -15.9110 4.1428
Nb 1.5538 -2.6791 -0.6424
Nb 7.8910 -21.1490 -2.2227
Nb 1.9507 -11.8841 0.1029
Nb -0.1672 -7.5979 -4.2549
Nb 5.6636 -17.0053 -6.3886
Si -1.7098 -8.7136 3.6997
Si 6.7209 -15.4587 -3.4155
Si 6.2788 -16.9762 1.7652
Si 2.1341 -14.9905 1.5290
Si 2.1212 -14.0540 -2.6144
Si -4.8708 -5.6370 1.5229
Si -1.7931 -3.3381 -0.3285
Si 5.9987 -19.2277 -9.0976
Si -0.9782 -10.9337 -4.9167
S 1.9281 -5.8370 0.9005
S -2.4068 -7.9860 -1.6180
S 2.5208 -18.4909 -1.8026
S 5.3873 -12.5187 -0.1883
S -1.5635 -4.1369 3.9586
S 5.9923 -20.1641 -4.8661
S 9.2257 -17.7704 -6.6064
S 2.2699 -9.4024 -2.4364
S 2.1126 -8.5257 -6.7413
O 2.7817 -6.5205 -0.0712
O -2.4793 -9.4563 -1.7163
O -0.4684 -9.6349 4.2788
O 8.2358 -16.1202 -3.3768
O 2.9206 -19.4598 -2.8391
O 6.4920 -18.5118 2.2423
O 1.5338 -16.8402 -4.9039
O 6.8979 -13.8409 -3.3205
O 4.9189 -13.8791 -9.2258
O -3.7213 -7.3461 -1.7208
O 1.4672 -3.8959 -2.1370
O -2.0989 -5.0724 -7.2091
O 3.0740 -15.6547 0.4319
O 5.3113 -13.9680 -0.2292
O 3.4006 -14.8837 -2.1378
O -3.3746 -6.3186 1.5996
O -1.1534 -5.1018 2.9222
O -1.5546 -4.8733 0.1424
O -2.5863 -2.5227 0.8636
O -4.7363 -4.0284 1.6466
O -2.7671 -3.3718 3.5920
O 4.0129 -11.8759 -0.2523
O 1.7067 -12.9184 -1.4787
O 2.0578 -13.3315 1.2348
O 6.8460 -20.8572 -5.8232
O 9.1563 -19.2540 -6.6901
O 7.2122 -20.1629 -8.5197
O 0.5139 -11.5121 -4.8556
O 2.7133 -10.3008 -3.4961
O 2.2473 -9.9262 -6.4090
O 1.3169 -7.7906 -5.6632
O -0.8799 -9.2878 -4.7446
O 1.0982 -8.5683 -2.8917
O 7.8994 -17.1537 -6.6912
O 5.5725 -18.2122 -7.8836
O 5.9275 -18.6982 -5.1226
O 1.4323 -8.3188 -8.0256
O -1.9202 -11.4304 -3.6469
O 3.3938 -8.4774 -2.0841
O 9.9087 -17.4382 -5.3376
O 6.3731 -18.3824 -10.4230
O 4.6849 -20.7795 -4.7450
O 2.8244 -15.0179 3.0212
O 6.1659 -11.9424 -1.2965
O 0.8369 -15.0023 -2.9159
O -5.5053 -6.1270 0.0951
O -1.9513 -4.9076 5.2133
O -0.2718 -2.6427 -0.3479
O 5.5873 -16.7285 0.3464
O 5.8219 -16.0059 -2.2044
O 3.6884 -17.6655 -1.4826
O -1.7075 -7.6316 -0.3671
O -1.3020 -7.8553 2.4000
O 0.6162 -6.4413 1.0186
O 6.6664 -20.2291 -3.4810
O 6.4633 -21.0764 -0.6653
O 8.6757 -19.5460 -1.5473
O 2.2067 -10.5790 1.5415
O 1.8546 -10.0946 -1.2071
O -0.1416 -11.6620 0.3192
O -2.5128 -3.0702 -1.7298
O -2.1748 -2.3909 -4.3291
O -4.3758 -3.9942 -3.5320
O 2.0775 -12.8243 -6.7556
O 2.4860 -13.1878 -3.9658
O 4.1813 -11.6461 -5.4365
O -1.3288 -6.6314 -5.5791
O -1.5672 -7.4448 -2.7644
O 0.6578 -5.9437 -3.7035
O 6.1253 -15.9231 -4.8739
O 5.7388 -15.4093 -7.6091
O 3.8373 -16.9681 -6.0940
```

***

Entry 6:
This record from the Materials Project database describes a relaxed structure of KSnF3. The functional is PBE-GGA.

Output
Space group: P-1 (2)
Raw total energy, Ha/atom: -0.1723
Energy with MP2020 corrections, eV/atom: -4.97
Formation energy, eV/atom: -2.7935

extended XYZ file:
```
40
Lattice="8.2296 0.0000 0.0000 2.7454 9.8279 0.0000 3.1909 1.0239 9.9526" Properties=species:S:1:pos:R:3 pbc="T T T"
K 8.0452 8.9890 3.6620
K 6.1207 1.8628 6.2906
K 4.0037 8.7518 3.9244
K 10.1622 2.1000 6.0282
K 9.1167 5.5139 4.8824
K 5.0492 5.3379 5.0703
K 9.2945 1.2617 9.8570
K 4.8714 9.5901 0.0956
Sn 6.6258 6.2799 1.4408
Sn 7.5402 4.5720 8.5118
Sn 2.4188 6.4690 1.3013
Sn 11.7472 4.3828 8.6514
Sn 3.7378 2.6816 2.5051
Sn 10.4282 8.1703 7.4475
Sn 7.9172 2.4402 2.6005
Sn 6.2487 8.4117 7.3521
F 6.1058 7.1396 3.2635
F 8.0602 3.7123 6.6891
F 7.1500 8.1738 0.6941
F 7.0160 2.6780 9.2585
F 10.5713 8.5651 1.5427
F 3.5947 2.2868 8.4099
F 3.1257 6.1981 3.2414
F 11.0403 4.6537 6.7112
F 8.6804 6.5799 2.4552
F 5.4855 4.2719 7.4974
F 4.5692 7.0485 0.8869
F 9.5967 3.8033 9.0657
F 2.7781 0.8240 2.5397
F 11.3879 10.0278 7.4130
F 4.1782 2.6596 4.5362
F 9.9878 8.1922 5.4164
F 4.4204 7.6041 6.4388
F 9.7455 3.2478 3.5138
F 8.5753 9.3604 7.6231
F 5.5907 1.4915 2.3296
F 6.2837 9.6604 5.6908
F 7.8823 1.1914 4.2618
F 7.2247 6.9159 6.3091
F 6.9412 3.9360 3.6435
```